{
  "formula": "TbCoGe2",
  "functional": "PBE",
  "state": "optimized geometry",
  "rho_g_cm3": 8.380,
  "e_tot_ev_per_cell": -47.15,
  "ef_ev_per_atom": -0.65,
  "lattice_angstrom": [[0.278, 3.540, 2.185], [3.889, 0.583, -1.439], [-3.146, 2.431, -7.516]],
  "species": ["Tb", "Tb", "Co", "Co", "Ge", "Ge", "Ge", "Ge"],
  "fractional_positions": [[0.108, 0.250, 0.216], [0.892, 0.750, 0.784], [0.318, 0.250, 0.636], [0.682, 0.750, 0.364], [0.545, 0.750, 0.090], [0.749, 0.250, 0.498], [0.455, 0.250, 0.910], [0.251, 0.750, 0.502]]
}

{
  "formula": "Tb3UCo8Ge8",
  "functional": "PBE",
  "state": "optimized geometry",
  "rho_g_cm3": 9.144,
  "e_tot_ev_per_cell": -129.54,
  "ef_ev_per_atom": -0.52,
  "lattice_angstrom": [[3.993, 0.000, 0.000], [0.000, 3.993, 0.000], [0.000, 0.000, 20.126]],
  "species": ["U", "Tb", "Tb", "Tb", "Co", "Co", "Co", "Co", "Co", "Co", "Co", "Co", "Ge", "Ge", "Ge", "Ge", "Ge", "Ge", "Ge", "Ge"],
  "fractional_positions": [[0.000, 0.000, 0.000], [0.500, 0.500, 0.249], [0.000, 0.000, 0.500], [0.500, 0.500, 0.751], [0.000, 0.500, 0.123], [0.000, 0.500, 0.375], [0.000, 0.500, 0.625], [0.500, 0.000, 0.375], [0.500, 0.000, 0.877], [0.000, 0.500, 0.877], [0.500, 0.000, 0.123], [0.500, 0.000, 0.625], [0.500, 0.500, 0.938], [0.000, 0.000, 0.186], [0.000, 0.000, 0.686], [0.500, 0.500, 0.564], [0.000, 0.000, 0.314], [0.500, 0.500, 0.436], [0.000, 0.000, 0.814], [0.500, 0.500, 0.062]]
}

{
  "formula": "Co2Ge3Te3",
  "functional": "PBE",
  "state": "optimized geometry",
  "rho_g_cm3": 7.049,
  "e_tot_ev_per_cell": -157.15,
  "energy_mp2020_ev_per_atom": -5.069,
  "ef_ev_per_atom": -0.38,
  "lattice_angstrom": [[6.210, -6.209, 0.000], [6.210, 6.209, 0.000], [0.002, 0.000, 8.781]],
  "species": ["Ge", "Ge", "Ge", "Ge", "Ge", "Ge", "Ge", "Ge", "Ge", "Ge", "Ge", "Ge", "Te", "Te", "Te", "Te", "Te", "Te", "Te", "Te", "Te", "Te", "Te", "Te", "Co", "Co", "Co", "Co", "Co", "Co", "Co", "Co"],
  "fractional_positions": [[0.997, 0.168, 0.319], [0.668, 0.181, 0.499], [0.832, 0.681, 0.003], [0.332, 0.819, 0.501], [0.681, 0.003, 0.832], [0.003, 0.832, 0.681], [0.181, 0.499, 0.668], [0.499, 0.668, 0.181], [0.168, 0.319, 0.997], [0.501, 0.332, 0.819], [0.319, 0.997, 0.168], [0.819, 0.501, 0.332], [0.156, 0.496, 0.352], [0.148, 0.656, 0.001], [0.001, 0.148, 0.656], [0.999, 0.852, 0.344], [0.504, 0.648, 0.844], [0.496, 0.352, 0.156], [0.352, 0.156, 0.496], [0.344, 0.999, 0.852], [0.844, 0.504, 0.648], [0.648, 0.844, 0.504], [0.852, 0.344, 0.999], [0.656, 0.001, 0.148], [0.746, 0.249, 0.748], [0.748, 0.746, 0.249], [0.245, 0.245, 0.245], [0.252, 0.254, 0.751], [0.249, 0.748, 0.746], [0.254, 0.751, 0.252], [0.755, 0.755, 0.755], [0.751, 0.252, 0.254]]
}

{
  "formula": "CoGeTe",
  "functional": "PBE",
  "state": "optimized geometry",
  "rho_g_cm3": 7.935,
  "e_tot_ev_per_cell": -124.41,
  "energy_mp2020_ev_per_atom": -5.324,
  "ef_ev_per_atom": -0.37,
  "lattice_angstrom": [[6.203, 0.000, 0.000], [0.000, 6.252, 0.000], [0.000, 0.000, 11.188]],
  "species": ["Ge", "Ge", "Ge", "Ge", "Ge", "Ge", "Ge", "Ge", "Co", "Co", "Co", "Co", "Co", "Co", "Co", "Co", "Te", "Te", "Te", "Te", "Te", "Te", "Te", "Te"],
  "fractional_positions": [[0.833, 0.726, 0.932], [0.333, 0.774, 0.068], [0.667, 0.274, 0.432], [0.167, 0.274, 0.068], [0.167, 0.226, 0.568], [0.333, 0.726, 0.568], [0.667, 0.226, 0.932], [0.833, 0.774, 0.432], [0.498, 0.892, 0.889], [0.502, 0.392, 0.611], [0.502, 0.108, 0.111], [0.998, 0.892, 0.611], [0.002, 0.392, 0.889], [0.998, 0.608, 0.111], [0.498, 0.608, 0.389], [0.002, 0.108, 0.389], [0.618, 0.011, 0.676], [0.118, 0.489, 0.324], [0.118, 0.011, 0.824], [0.382, 0.989, 0.324], [0.382, 0.511, 0.824], [0.618, 0.489, 0.176], [0.882, 0.511, 0.676], [0.882, 0.989, 0.176]]
}

{
  "formula": "ThCo2Ge2",
  "functional": "PBE",
  "state": "optimized geometry",
  "rho_g_cm3": 9.732,
  "e_tot_ev_per_cell": -33.97,
  "ef_ev_per_atom": -0.62,
  "lattice_angstrom": [[3.237, -3.098, 3.548], [-1.983, -1.030, 5.261], [-1.916, -0.389, -5.371]],
  "species": ["Th", "Co", "Co", "Ge", "Ge"],
  "fractional_positions": [[0.000, 0.000, 0.000], [0.250, 0.750, 0.500], [0.750, 0.250, 0.500], [0.366, 0.366, 0.000], [0.634, 0.634, 0.000]]
}

{
  "formula": "ThCoGe2",
  "functional": "PBE",
  "state": "optimized geometry",
  "rho_g_cm3": 9.652,
  "e_tot_ev_per_cell": -53.02,
  "ef_ev_per_atom": -0.69,
  "lattice_angstrom": [[-8.008, 3.280, 0.635], [5.961, -4.931, -3.929], [-1.164, -3.301, 2.377]],
  "species": ["Th", "Th", "Ge", "Ge", "Ge", "Ge", "Co", "Co"],
  "fractional_positions": [[0.610, 0.390, 0.250], [0.390, 0.610, 0.750], [0.250, 0.750, 0.250], [0.043, 0.957, 0.750], [0.957, 0.043, 0.250], [0.750, 0.250, 0.750], [0.181, 0.819, 0.750], [0.819, 0.181, 0.250]]
}

{
  "formula": "Ti6Co16Ge7",
  "functional": "PBE",
  "state": "optimized geometry",
  "rho_g_cm3": 7.973,
  "e_tot_ev_per_cell": -204.62,
  "ef_ev_per_atom": -0.38,
  "lattice_angstrom": [[0.000, 5.657, 5.657], [5.657, 0.000, 5.657], [5.657, 5.657, 0.000]],
  "species": ["Ti", "Ti", "Ti", "Ti", "Ti", "Ti", "Ge", "Ge", "Ge", "Ge", "Ge", "Ge", "Ge", "Co", "Co", "Co", "Co", "Co", "Co", "Co", "Co", "Co", "Co", "Co", "Co", "Co", "Co", "Co", "Co"],
  "fractional_positions": [[0.699, 0.301, 0.301], [0.301, 0.699, 0.699], [0.301, 0.699, 0.301], [0.301, 0.301, 0.699], [0.699, 0.699, 0.301], [0.699, 0.301, 0.699], [0.500, 0.000, 0.500], [0.500, 0.000, 0.000], [0.000, 0.000, 0.500], [0.000, 0.000, 0.000], [0.000, 0.500, 0.000], [0.500, 0.500, 0.000], [0.000, 0.500, 0.500], [0.880, 0.880, 0.880], [0.120, 0.120, 0.640], [0.334, 0.334, 0.998], [0.998, 0.334, 0.334], [0.360, 0.880, 0.880], [0.002, 0.666, 0.666], [0.120, 0.640, 0.120], [0.666, 0.666, 0.666], [0.666, 0.002, 0.666], [0.334, 0.334, 0.334], [0.640, 0.120, 0.120], [0.334, 0.998, 0.334], [0.880, 0.880, 0.360], [0.880, 0.360, 0.880], [0.666, 0.666, 0.002], [0.120, 0.120, 0.120]]
}

{
  "formula": "Ti4Co4Ge7",
  "functional": "PBE",
  "state": "optimized geometry",
  "rho_g_cm3": 7.380,
  "e_tot_ev_per_cell": -200.10,
  "ef_ev_per_atom": -0.51,
  "lattice_angstrom": [[0.000, 0.000, 5.091], [-6.431, 6.431, 2.545], [-6.431, -6.431, 2.545]],
  "species": ["Ge", "Ge", "Ge", "Ge", "Ge", "Ge", "Ge", "Ge", "Ge", "Ge", "Ge", "Ge", "Ge", "Ge", "Ti", "Ti", "Ti", "Ti", "Ti", "Ti", "Ti", "Ti", "Co", "Co", "Co", "Co", "Co", "Co", "Co", "Co"],
  "fractional_positions": [[0.702, 0.596, 0.000], [0.751, 0.000, 0.000], [0.500, 0.597, 0.403], [0.903, 0.597, 0.597], [0.000, 0.716, 0.284], [0.298, 0.404, 0.000], [0.097, 0.403, 0.403], [0.500, 0.403, 0.597], [0.716, 0.284, 0.284], [0.284, 0.716, 0.716], [0.000, 0.284, 0.716], [0.298, 0.000, 0.404], [0.249, 0.000, 0.000], [0.702, 0.000, 0.596], [0.863, 0.274, 0.000], [0.137, 0.000, 0.726], [0.692, 0.808, 0.808], [0.500, 0.192, 0.808], [0.308, 0.192, 0.192], [0.137, 0.726, 0.000], [0.863, 0.000, 0.274], [0.500, 0.808, 0.192], [0.599, 0.801, 0.500], [0.901, 0.199, 0.500], [0.099, 0.801, 0.500], [0.599, 0.500, 0.801], [0.901, 0.500, 0.199], [0.099, 0.500, 0.801], [0.401, 0.199, 0.500], [0.401, 0.500, 0.199]]
}

{
  "formula": "Ti2CoGe",
  "functional": "PBE",
  "state": "optimized geometry",
  "rho_g_cm3": 6.623,
  "e_tot_ev_per_cell": -28.63,
  "ef_ev_per_atom": -0.28,
  "lattice_angstrom": [[-0.108, -2.914, 3.187], [1.558, 1.008, 3.901], [-2.698, 0.540, 3.330]],
  "species": ["Ti", "Ti", "Ge", "Co"],
  "fractional_positions": [[0.000, 0.000, 0.000], [0.250, 0.250, 0.250], [0.750, 0.750, 0.750], [0.500, 0.500, 0.500]]
}

{
  "formula": "Tm2CoGe2",
  "functional": "PBE",
  "state": "optimized geometry",
  "rho_g_cm3": 9.514,
  "e_tot_ev_per_cell": -58.14,
  "ef_ev_per_atom": -0.75,
  "lattice_angstrom": [[-1.989, -3.042, 4.159], [1.493, -0.963, 5.230], [-5.130, 5.027, 6.920]],
  "species": ["Tm", "Tm", "Tm", "Tm", "Co", "Co", "Ge", "Ge", "Ge", "Ge"],
  "fractional_positions": [[0.006, 0.006, 0.667], [0.184, 0.184, 0.889], [0.816, 0.816, 0.111], [0.994, 0.994, 0.333], [0.271, 0.271, 0.353], [0.729, 0.729, 0.647], [0.345, 0.345, 0.566], [0.515, 0.515, 0.125], [0.485, 0.485, 0.875], [0.655, 0.655, 0.434]]
}

{
  "formula": "TmCo2Ge2",
  "functional": "PBE",
  "state": "optimized geometry",
  "rho_g_cm3": 9.193,
  "e_tot_ev_per_cell": -30.93,
  "ef_ev_per_atom": -0.60,
  "lattice_angstrom": [[-2.222, 2.007, 2.556], [-1.575, -3.374, 1.279], [5.534, 0.300, 1.544]],
  "species": ["Ge", "Ge", "Tm", "Co", "Co"],
  "fractional_positions": [[0.373, 0.373, 0.747], [0.627, 0.627, 0.253], [0.000, 0.000, 0.000], [0.750, 0.250, 0.500], [0.250, 0.750, 0.500]]
}

{
  "formula": "TmCo6Ge6",
  "functional": "PBE",
  "state": "optimized geometry",
  "rho_g_cm3": 9.070,
  "e_tot_ev_per_cell": -79.47,
  "ef_ev_per_atom": -0.35,
  "lattice_angstrom": [[-2.011, 4.330, 1.734], [2.451, -3.114, 3.177], [6.734, 3.741, -1.529]],
  "species": ["Co", "Co", "Co", "Co", "Co", "Co", "Ge", "Ge", "Ge", "Ge", "Ge", "Ge", "Tm"],
  "fractional_positions": [[0.000, 0.500, 0.750], [0.500, 0.000, 0.750], [0.500, 0.000, 0.250], [0.500, 0.500, 0.750], [0.500, 0.500, 0.250], [0.000, 0.500, 0.250], [0.667, 0.333, 0.500], [0.667, 0.333, 0.000], [0.333, 0.667, 0.000], [0.000, 0.000, 0.344], [0.333, 0.667, 0.500], [0.000, 0.000, 0.656], [0.000, 0.000, 0.000]]
}